First-principles (GGA-PBE) data for Y40Si13S27 after structural relaxation, as listed in the Materials Project database.

Output
Its total energy after the MP2020 corrections is -7.187 eV/atom. As for the spin magnetization: 0.3 μB/cell. As for the volume: 5397.4 Å³/cell. For the formation enthalpy at 0 K, the calculation gives -1.676 eV/atom. Its crystal system is trigonal.

a = 4.0257 Å, b = 4.0257 Å, c = 384.5737 Å
α = 90.00°, β = 90.00°, γ = 120.00°
Closest atoms and distances in Å follow each position.
Space group R3m (No. 160, hexagonal axes)
Asymmetric unit:
Y: 0.0000 0.0000 0.0000 x3  6 Si 2.81-2.85
Y: 0.0000 0.0000 0.0249 x3  3 Si 2.81, 3 S 2.88
Y: 0.0000 0.0000 0.0499 x3  6 S 2.82-2.83
Y: 0.0000 0.0000 0.0749 x3  6 S 2.82-2.83
Y: 0.0000 0.0000 0.0999 x3  6 S 2.82
Y: 0.0000 0.0000 0.1249 x3  6 S 2.82
Y: 0.0000 0.0000 0.1499 x3  6 S 2.82
Y: 0.0000 0.0000 0.1749 x3  6 S 2.82-2.83
Y: 0.0000 0.0000 0.1999 x3  6 S 2.82-2.83
Y: 0.0000 0.0000 0.2249 x3  3 Si 2.81, 3 S 2.88
Y: 0.0000 0.0000 0.2499 x3  3 S 2.81, 3 Si 2.83
Y: 0.0000 0.0000 0.2749 x3  6 Si 2.82-2.83
Y: 0.0000 0.0000 0.2999 x3  6 Si 2.82
Y: 0.0000 0.0000 0.3249 x3  6 Si 2.82
Y: 0.0000 0.0000 0.3499 x3  3 S 2.82, 3 Si 2.83
Y: 0.0000 0.0000 0.3749 x3  6 S 2.81-2.83
Y: 0.0000 0.0000 0.3999 x3  6 S 2.82-2.83
Y: 0.0000 0.0000 0.4249 x3  6 S 2.82
Y: 0.0000 0.0000 0.4499 x3  6 S 2.82
Y: 0.0000 0.0000 0.4749 x3  6 S 2.82
Y: 0.0000 0.0000 0.4999 x3  6 S 2.82
Y: 0.0000 0.0000 0.5249 x3  6 S 2.82-2.83
Y: 0.0000 0.0000 0.5497 x3  6 S 2.80-2.81
Y: 0.0000 0.0000 0.5749 x3  3 Si 2.82, 3 S 2.83
Y: 0.0000 0.0000 0.5998 x3  6 Si 2.81-2.85
Y: 0.0000 0.0000 0.6249 x3  6 Si 2.82
Y: 0.0000 0.0000 0.6499 x3  6 Si 2.82
Y: 0.0000 0.0000 0.6750 x3  3 S 2.81, 3 Si 2.84
Y: 0.0000 0.0000 0.7001 x3  6 S 2.79-2.81
Y: 0.0000 0.0000 0.7249 x3  6 S 2.82-2.83
Y: 0.0000 0.0000 0.7499 x3  6 S 2.82
Y: 0.0000 0.0000 0.7749 x3  6 S 2.82
Y: 0.0000 0.0000 0.7999 x3  6 S 2.82
Y: 0.0000 0.0000 0.8249 x3  6 S 2.82
Y: 0.0000 0.0000 0.8499 x3  6 S 2.82-2.83
Y: 0.0000 0.0000 0.8749 x3  6 S 2.81-2.83
Y: 0.0000 0.0000 0.8999 x3  3 Si 2.83, 3 S 2.83
Y: 0.0000 0.0000 0.9248 x3  3 S 2.81, 3 Si 2.84
Y: 0.0000 0.0000 0.9499 x3  6 Si 2.82-2.83
Y: 0.0000 0.0000 0.9749 x3  6 Si 2.82
Si: 0.0000 0.0000 0.2624 x3  6 Y 2.81-2.84
Si: 0.0000 0.0000 0.2874 x3  6 Y 2.82-2.83
Si: 0.0000 0.0000 0.3124 x3  6 Y 2.82
Si: 0.0000 0.0000 0.3374 x3  6 Y 2.81-2.84
Si: 0.0000 0.0000 0.5623 x3  6 Y 2.81-2.83
Si: 0.0000 0.0000 0.6124 x3  6 Y 2.82
Si: 0.0000 0.0000 0.6374 x3  6 Y 2.82
Si: 0.0000 0.0000 0.6624 x3  6 Y 2.82-2.85
Si: 0.0000 0.0000 0.6875 x3  6 Y 2.81-2.83
Si: 0.0000 0.0000 0.9124 x3  6 Y 2.82-2.83
Si: 0.0000 0.0000 0.9374 x3  6 Y 2.82-2.85
Si: 0.0000 0.0000 0.9624 x3  6 Y 2.82
Si: 0.0000 0.0000 0.9874 x3  6 Y 2.82
S: 0.0000 0.0000 0.0125 x3  6 Y 2.81-2.82
S: 0.0000 0.0000 0.0375 x3  6 Y 2.79-2.81
S: 0.0000 0.0000 0.0624 x3  6 Y 2.83
S: 0.0000 0.0000 0.0874 x3  6 Y 2.82
S: 0.0000 0.0000 0.1124 x3  6 Y 2.82
S: 0.0000 0.0000 0.1374 x3  6 Y 2.82
S: 0.0000 0.0000 0.1624 x3  6 Y 2.82
S: 0.0000 0.0000 0.1874 x3  6 Y 2.83
S: 0.0000 0.0000 0.2124 x3  6 Y 2.80-2.81
S: 0.0000 0.0000 0.2374 x3  6 Y 2.83
S: 0.0000 0.0000 0.3627 x3  6 Y 2.81-2.88
S: 0.0000 0.0000 0.3874 x3  6 Y 2.82
S: 0.0000 0.0000 0.4124 x3  6 Y 2.82-2.83
S: 0.0000 0.0000 0.4374 x3  6 Y 2.82
S: 0.0000 0.0000 0.4624 x3  6 Y 2.82
S: 0.0000 0.0000 0.4874 x3  6 Y 2.82
S: 0.0000 0.0000 0.5124 x3  6 Y 2.82
S: 0.0000 0.0000 0.5374 x3  6 Y 2.83
S: 0.0000 0.0000 0.5874 x3  6 Y 2.81
S: 0.0000 0.0000 0.7124 x3  6 Y 2.83
S: 0.0000 0.0000 0.7374 x3  6 Y 2.82
S: 0.0000 0.0000 0.7624 x3  6 Y 2.82
S: 0.0000 0.0000 0.7874 x3  6 Y 2.82
S: 0.0000 0.0000 0.8124 x3  6 Y 2.82
S: 0.0000 0.0000 0.8374 x3  6 Y 2.82
S: 0.0000 0.0000 0.8624 x3  6 Y 2.82
S: 0.0000 0.0000 0.8872 x3  6 Y 2.81-2.88

First-principles (GGA-PBE) data for Zr2SiS2 after structural relaxation, as listed in the Materials Project database.

Output
Its total energy after the MP2020 corrections is -5.568 eV/atom. As for the spin magnetization: 0.0 μB/cell. As for the volume: 162.6 Å³/cell. For the formation enthalpy at 0 K, the calculation gives 0.591 eV/atom. Its crystal system is tetragonal.

a = 2.7725 Å, b = 2.7725 Å, c = 21.1530 Å
α = 90.00°, β = 90.00°, γ = 90.00°
Closest atoms and distances in Å follow each position.
Space group P4/mmm (No. 123)
Asymmetric unit:
Zr: 0.0000 0.0000 0.2330 x2  1 S 2.40
Si: 0.0000 0.0000 0.5000 x1  4 Si 2.77
S: 0.0000 0.0000 0.1193 x2  1 Zr 2.40

First-principles (GGA-PBE) data for ZrSiS after structural relaxation, as listed in the Materials Project database.

Output
Its total energy after the MP2020 corrections is -7.405 eV/atom. As for the volume: 103.4 Å³/cell. For the formation enthalpy at 0 K, the calculation gives -1.369 eV/atom. Its crystal system is tetragonal.

a = 3.5558 Å, b = 3.5558 Å, c = 8.1801 Å
α = 90.00°, β = 90.00°, γ = 90.00°
Closest atoms and distances in Å follow each position.
Space group P4/nmm (No. 129, origin choice 2)
Asymmetric unit:
Zr: 0.2500 0.2500 0.2320 x2  5 S 2.67-2.90, 4 Si 2.82
Si: 0.2500 0.7500 0.5000 x2  4 Si 2.51
S: 0.2500 0.2500 0.8779 x2  5 Zr 2.67-2.90

First-principles (GGA-PBE) data for Sm39S56 after structural relaxation, as listed in the Materials Project database.

Output
Its total energy after the MP2020 corrections is -6.709 eV/atom. As for the spin magnetization: 0.1 μB/cell. As for the volume: 2144.2 Å³/cell. For the formation enthalpy at 0 K, the calculation gives -2.333 eV/atom. Its crystal system is triclinic.

a = 7.3576 Å, b = 7.3626 Å, c = 42.1820 Å
α = 93.39°, β = 93.21°, γ = 109.43°
Closest atoms and distances in Å follow each position.
Space group P1 (No. 1)
Asymmetric unit:
Sm: 0.0000 0.0000 0.0000 x1  8 S 2.76-3.07
Sm: 0.0006 0.1288 0.3761 x1  8 S 2.82-3.09
Sm: 0.0216 0.3996 0.1601 x1  8 S 2.81-3.12
Sm: 0.0496 0.5579 0.0737 x1  7 S 2.78-3.02
Sm: 0.0532 0.9135 0.1937 x1  6 S 2.77-2.94
Sm: 0.0917 0.7321 0.5506 x1  6 S 2.77-2.93
Sm: 0.1402 0.1408 0.2857 x1  8 S 2.81-3.10
Sm: 0.1453 0.2727 0.6609 x1  8 S 2.81-3.05
Sm: 0.1712 0.5390 0.4493 x1  7 S 2.83-3.14
Sm: 0.1773 0.6772 0.3570 x1  7 S 2.76-3.05
Sm: 0.2329 0.8647 0.8366 x1  7 S 2.83-3.13
Sm: 0.2872 0.2827 0.5686 x1  7 S 2.77-3.08
Sm: 0.2883 0.4136 0.9469 x1  8 S 2.82-3.07
Sm: 0.3215 0.8215 0.6430 x1  8 S 2.81-3.07
Sm: 0.3245 0.6841 0.7353 x1  6 S 2.77-2.94
Sm: 0.3256 0.2038 0.7688 x1  8 S 2.82-3.12
Sm: 0.4301 0.5532 0.2322 x1  8 S 2.78-3.07
Sm: 0.4405 0.4488 0.8552 x1  7 S 2.78-3.03
Sm: 0.4505 0.8220 0.0193 x1  8 S 2.81-3.09
Sm: 0.4642 0.9643 0.9289 x1  8 S 2.76-3.08
Sm: 0.4688 0.3391 0.0566 x1  7 S 2.80-3.06
Sm: 0.5182 0.1476 0.4139 x1  7 S 2.79-3.07
Sm: 0.5692 0.5717 0.1418 x1  8 S 2.84-3.11
Sm: 0.5781 0.6999 0.5172 x1  8 S 2.82-3.12
Sm: 0.5950 0.9677 0.3041 x1  8 S 2.83-3.06
Sm: 0.6039 0.1087 0.2116 x1  7 S 2.77-3.07
Sm: 0.6105 0.4856 0.3392 x1  8 S 2.81-3.06
Sm: 0.6616 0.2846 0.6968 x1  8 S 2.78-3.08
Sm: 0.7307 0.1079 0.5892 x1  8 S 2.78-3.08
Sm: 0.7364 0.7283 0.4307 x1  7 S 2.78-3.02
Sm: 0.7508 0.2474 0.4990 x1  8 S 2.84-3.10
Sm: 0.7548 0.6272 0.6250 x1  8 S 2.81-3.05
Sm: 0.8058 0.4313 0.9820 x1  8 S 2.81-3.07
Sm: 0.8574 0.8617 0.7174 x1  8 S 2.77-3.10
Sm: 0.8605 0.9924 0.0923 x1  7 S 2.83-3.13
Sm: 0.8766 0.2470 0.8723 x1  7 S 2.79-3.07
Sm: 0.8917 0.3950 0.7870 x1  8 S 2.84-3.10
Sm: 0.8955 0.7671 0.9096 x1  8 S 2.81-3.09
Sm: 0.9493 0.5761 0.2677 x1  8 S 2.80-3.05
S: 0.0440 0.2978 0.2306 x1  5 Sm 2.80-3.12
S: 0.0451 0.2953 0.7289 x1  6 Sm 2.87-3.04
S: 0.0581 0.4498 0.6068 x1  5 Sm 2.84-3.05
S: 0.0586 0.9509 0.6073 x1  6 Sm 2.83-3.08
S: 0.0724 0.1670 0.8214 x1  5 Sm 2.79-3.03
S: 0.0782 0.8172 0.7697 x1  4 Sm 2.77-2.94
S: 0.1317 0.7357 0.9641 x1  6 Sm 2.84-3.09
S: 0.1385 0.8824 0.4115 x1  4 Sm 2.76-2.97
S: 0.1870 0.4358 0.0148 x1  6 Sm 2.85-3.05
S: 0.1906 0.4515 0.5163 x1  4 Sm 2.77-2.94
S: 0.1987 0.5891 0.8934 x1  5 Sm 2.82-3.05
S: 0.2008 0.0923 0.8927 x1  5 Sm 2.83-3.07
S: 0.2007 0.3163 0.1066 x1  5 Sm 2.79-2.99
S: 0.2037 0.9597 0.0545 x1  4 Sm 2.76-2.97
S: 0.2739 0.8811 0.2502 x1  6 Sm 2.82-3.07
S: 0.2776 0.0313 0.6983 x1  5 Sm 2.81-3.12
S: 0.3218 0.5768 0.7994 x1  5 Sm 2.79-3.00
S: 0.3310 0.5814 0.3004 x1  6 Sm 2.85-3.08
S: 0.3420 0.2520 0.1795 x1  5 Sm 2.81-3.00
S: 0.3427 0.4509 0.3933 x1  5 Sm 2.84-3.07
S: 0.3443 0.7331 0.1800 x1  5 Sm 2.78-2.97
S: 0.3524 0.1043 0.3416 x1  5 Sm 2.83-3.10
S: 0.4247 0.1741 0.9852 x1  6 Sm 2.83-3.14
S: 0.4311 0.0206 0.5367 x1  5 Sm 2.81-3.00
S: 0.4752 0.7176 0.0845 x1  5 Sm 2.84-2.95
S: 0.4762 0.7224 0.5877 x1  5 Sm 2.81-3.12
S: 0.4867 0.5940 0.6786 x1  6 Sm 2.83-3.09
S: 0.4887 0.3943 0.4646 x1  5 Sm 2.79-3.02
S: 0.4901 0.2455 0.6279 x1  6 Sm 2.85-3.07
S: 0.4948 0.8793 0.4638 x1  5 Sm 2.78-2.99
S: 0.5586 0.1741 0.8223 x1  5 Sm 2.78-2.98
S: 0.5686 0.3123 0.2709 x1  6 Sm 2.84-3.10
S: 0.6134 0.8653 0.3720 x1  6 Sm 2.85-3.05
S: 0.6139 0.8696 0.8744 x1  4 Sm 2.76-2.97
S: 0.6269 0.0374 0.7493 x1  5 Sm 2.81-3.00
S: 0.6293 0.5178 0.7488 x1  5 Sm 2.78-2.97
S: 0.6320 0.7359 0.9647 x1  6 Sm 2.85-3.08
S: 0.6365 0.3853 0.9140 x1  6 Sm 2.85-3.05
S: 0.7094 0.4592 0.5571 x1  6 Sm 2.87-3.03
S: 0.7155 0.3100 0.1075 x1  5 Sm 2.80-3.02
S: 0.7604 0.0052 0.6580 x1  6 Sm 2.85-3.07
S: 0.7700 0.6603 0.0355 x1  5 Sm 2.81-3.04
S: 0.7722 0.1640 0.0361 x1  5 Sm 2.83-3.07
S: 0.7717 0.8794 0.2497 x1  5 Sm 2.85-3.05
S: 0.7732 0.0122 0.1592 x1  4 Sm 2.77-2.94
S: 0.7802 0.5307 0.1998 x1  6 Sm 2.86-3.03
S: 0.8383 0.4477 0.3925 x1  5 Sm 2.81-3.04
S: 0.8554 0.5976 0.8444 x1  5 Sm 2.84-2.95
S: 0.8964 0.1540 0.4416 x1  5 Sm 2.84-2.96
S: 0.9039 0.1532 0.9437 x1  6 Sm 2.83-3.14
S: 0.9120 0.0233 0.5371 x1  5 Sm 2.78-2.97
S: 0.9140 0.8116 0.3214 x1  6 Sm 2.85-3.06
S: 0.9153 0.3118 0.3218 x1  6 Sm 2.84-3.05
S: 0.9203 0.6655 0.4866 x1  5 Sm 2.79-3.00
S: 0.9861 0.5943 0.6791 x1  5 Sm 2.84-3.05
S: 0.9868 0.7419 0.1295 x1  5 Sm 2.78-3.00

First-principles (GGA-PBE) data for Sm3S4 after structural relaxation, as listed in the Materials Project database.

Output
Its total energy after the MP2020 corrections is -6.310 eV/atom. As for the spin magnetization: 3.4 μB/cell. As for the volume: 963.9 Å³/cell. For the formation enthalpy at 0 K, the calculation gives -1.924 eV/atom. Its crystal system is cubic.

a = 9.8781 Å, b = 9.8781 Å, c = 9.8781 Å
α = 90.00°, β = 90.00°, γ = 90.00°
Closest atoms and distances in Å follow each position.
Space group I-43d (No. 220)
Asymmetric unit:
Sm: 0.0000 0.2500 0.8750 x12  4 S 2.67
S: 0.0308 0.0308 0.0308 x16  3 Sm 2.67

First-principles (GGA-PBE) data for Sm3S4 after structural relaxation, as listed in the Materials Project database.

Output
Its total energy after the MP2020 corrections is -6.684 eV/atom. As for the volume: 609.4 Å³/cell. For the formation enthalpy at 0 K, the calculation gives -2.298 eV/atom. Its crystal system is cubic.

a = 8.4782 Å, b = 8.4782 Å, c = 8.4782 Å
α = 90.00°, β = 90.00°, γ = 90.00°
Closest atoms and distances in Å follow each position.
Space group I-43d (No. 220)
Asymmetric unit:
Sm: 0.0000 0.2500 0.3750 x12  8 S 2.85-3.03
S: 0.0736 0.0736 0.0736 x16  6 Sm 2.85-3.03

First-principles (GGA-PBE) data for SmS2 after structural relaxation, as listed in the Materials Project database.

Output
Its total energy after the MP2020 corrections is -6.402 eV/atom. As for the volume: 256.3 Å³/cell. For the formation enthalpy at 0 K, the calculation gives -2.072 eV/atom. Its crystal system is monoclinic.

a = 8.0611 Å, b = 3.9914 Å, c = 7.9672 Å
α = 90.00°, β = 90.10°, γ = 90.00°
Closest atoms and distances in Å follow each position.
Space group P2_1/c (No. 14)
Asymmetric unit:
Sm: 0.2247 0.2148 0.3709 x4  9 S 2.82-3.12
S: 0.1323 0.7401 0.1251 x4  5 Sm 2.82-3.07
S: 0.4974 0.6602 0.3906 x4  1 S 2.16

First-principles (GGA-PBE) data for SmS2 after structural relaxation, as listed in the Materials Project database.

Output
Its total energy after the MP2020 corrections is -6.333 eV/atom. As for the spin magnetization: 0.0 μB/cell. As for the volume: 125.5 Å³/cell. For the formation enthalpy at 0 K, the calculation gives -2.002 eV/atom. Its crystal system is tetragonal.

a = 3.9303 Å, b = 3.9303 Å, c = 8.1241 Å
α = 90.00°, β = 90.00°, γ = 90.00°
Closest atoms and distances in Å follow each position.
Space group P4/nmm (No. 129, origin choice 2)
Asymmetric unit:
Sm: 0.2500 0.2500 0.2256 x2  9 S 2.88-2.97
S: 0.2500 0.2500 0.8669 x2  5 Sm 2.88-2.91
S: 0.2500 0.7500 0.5000 x2  4 S 2.78, 4 Sm 2.97

First-principles (GGA-PBE) data for Sm2SnS5 after structural relaxation, as listed in the Materials Project database.

Output
Its total energy after the MP2020 corrections is -6.008 eV/atom. As for the volume: 350.0 Å³/cell. For the formation enthalpy at 0 K, the calculation gives -1.742 eV/atom. Its crystal system is orthorhombic.

a = 7.8491 Å, b = 11.4818 Å, c = 3.8836 Å
α = 90.00°, β = 90.00°, γ = 90.00°
Closest atoms and distances in Å follow each position.
Space group Pbam (No. 55)
Asymmetric unit:
Sm: 0.0337 0.1728 0.0000 x4  8 S 2.79-3.02
Sn: 0.0000 0.5000 0.5000 x2  6 S 2.59-2.62
S: 0.0000 0.0000 0.5000 x2  4 Sm 2.79
S: 0.1710 0.4066 0.0000 x4  2 Sn 2.59, 1 Sm 2.89
S: 0.1730 0.6950 0.5000 x4  1 Sn 2.62

First-principles (GGA-PBE) data for Tb2SmS4 after structural relaxation, as listed in the Materials Project database.

Output
Its total energy after the MP2020 corrections is -6.649 eV/atom. As for the spin magnetization: 0.0 μB/cell. As for the volume: 588.3 Å³/cell. For the formation enthalpy at 0 K, the calculation gives -2.288 eV/atom. Its crystal system is tetragonal.

a = 8.3923 Å, b = 8.3923 Å, c = 8.3527 Å
α = 90.00°, β = 90.00°, γ = 90.00°
Closest atoms and distances in Å follow each position.
Space group I-42d (No. 122)
Asymmetric unit:
Tb: 0.1258 0.7500 0.1250 x8  8 S 2.79-3.00
Sm: 0.0000 0.0000 0.5000 x4  8 S 2.83-3.00
S: 0.0734 0.6752 0.4458 x16  4 Tb 2.79-3.00, 2 Sm 2.83-3.00

First-principles (GGA-PBE) data for Sm3TmS4 after structural relaxation, as listed in the Materials Project database.

Output
Its total energy after the MP2020 corrections is -6.638 eV/atom. As for the volume: 177.5 Å³/cell. For the formation enthalpy at 0 K, the calculation gives -2.241 eV/atom. Its crystal system is orthorhombic.

a = 3.9793 Å, b = 5.6300 Å, c = 7.9250 Å
α = 90.00°, β = 90.00°, γ = 90.00°
Closest atoms and distances in Å follow each position.
Space group Pmmm (No. 47)
Asymmetric unit:
Sm: 0.0000 0.0000 0.0000 x1  6 S 2.81-2.88
Sm: 0.5000 0.5000 0.2448 x2  6 S 2.78-2.84
Tm: 0.0000 0.0000 0.5000 x1  6 S 2.74-2.81
S: 0.0000 0.5000 0.0000 x1  6 Sm 2.78-2.81
S: 0.0000 0.5000 0.5000 x1  2 Tm 2.81, 4 Sm 2.84
S: 0.5000 0.0000 0.2631 x2  2 Tm 2.74, 4 Sm 2.82-2.88

First-principles (GGA-PBE) data for Sm2TmS4 after structural relaxation, as listed in the Materials Project database.

Output
Its total energy after the MP2020 corrections is -6.619 eV/atom. As for the spin magnetization: 0.0 μB/cell. As for the volume: 595.4 Å³/cell. For the formation enthalpy at 0 K, the calculation gives -2.267 eV/atom. Its crystal system is tetragonal.

a = 8.3502 Å, b = 8.3502 Å, c = 8.5393 Å
α = 90.00°, β = 90.00°, γ = 90.00°
Closest atoms and distances in Å follow each position.
Space group I-42d (No. 122)
Asymmetric unit:
Sm: 0.1170 0.2500 0.1250 x8  8 S 2.82-3.05
Tm: 0.0000 0.0000 0.5000 x4  8 S 2.73-3.05
S: 0.0717 0.1850 0.8000 x16  2 Tm 2.73-3.05, 4 Sm 2.82-3.05